! Zn49Pt29 PBE relaxed; values from VASP
&SYSTEM
  ibrav = 0, nat = 78, ntyp = 2
/
ATOMIC_SPECIES
Zn 65.41 Zn.upf
Pt 195.08 Pt.upf
ATOMIC_POSITIONS angstrom
Zn -23.117 -6.798 8.470
Zn -16.757 -3.223 -0.107
Zn -39.643 -11.255 13.047
Zn -20.939 -6.001 7.096
Zn -17.041 -4.879 5.758
Zn -45.383 -13.182 16.024
Zn -2.237 -0.352 -0.299
Zn -43.643 -11.514 11.151
Zn -34.259 -9.937 12.047
Zn -11.761 -1.668 -2.253
Zn -9.819 -2.375 1.718
Zn -28.496 -8.047 9.221
Zn -32.639 -8.442 7.721
Zn -21.351 -5.387 4.553
Zn -36.958 -10.616 12.615
Zn -48.253 -13.055 13.520
Zn -52.796 -15.300 18.515
Zn -46.377 -12.213 11.767
Zn -25.315 -6.657 6.391
Zn -40.966 -10.894 10.784
Zn -5.252 -0.178 -3.081
Zn -39.285 -10.036 8.835
Zn -43.845 -12.319 13.956
Zn -52.158 -14.117 14.635
Zn -50.734 -13.261 12.509
Zn -32.370 -9.106 10.344
Zn -35.280 -8.975 7.796
Zn -16.365 -3.841 2.436
Zn -4.883 -0.809 -0.506
Zn -29.874 -7.692 6.941
Zn -41.373 -12.113 14.961
Zn -23.971 -5.800 4.207
Zn -27.818 -6.874 5.405
Zn -20.723 -4.406 1.408
Zn -7.584 -1.580 0.395
Zn -18.808 -4.618 3.546
Zn -9.119 -1.262 -1.859
Zn -25.848 -7.567 9.342
Zn -12.392 -2.647 0.886
Zn -14.363 -2.442 -1.266
Zn -54.800 -14.620 14.598
Zn -13.737 -3.495 3.039
Zn -3.147 0.630 -4.546
Zn -50.796 -14.475 16.911
Zn -48.037 -13.737 16.171
Zn -0.878 0.501 -2.460
Zn -32.207 -7.575 4.851
Zn -7.770 -0.410 -4.021
Zn -36.793 -9.830 9.852
Pt -6.200 1.592 -4.821
Pt -34.818 -8.073 10.240
Pt -37.817 -8.006 7.864
Pt -23.331 -4.867 6.662
Pt -26.462 -4.833 4.313
Pt -38.860 -9.193 11.470
Pt -34.332 -6.919 6.358
Pt -10.878 -0.639 0.025
Pt -41.754 -9.086 9.022
Pt -7.950 -0.860 2.919
Pt -46.321 -11.412 14.294
Pt -15.630 -2.858 4.778
Pt -7.135 0.438 -1.259
Pt -14.916 -1.749 1.223
Pt -22.765 -3.758 3.004
Pt -0.262 1.333 0.352
Pt -53.217 -12.377 12.928
Pt -18.714 -2.644 1.801
Pt -45.678 -10.158 10.156
Pt -3.367 1.374 -2.006
Pt -49.144 -11.250 11.694
Pt -42.293 -10.295 13.067
Pt -30.994 -7.071 9.288
Pt -19.551 -3.948 5.983
Pt -27.428 -5.998 7.893
Pt -30.236 -5.787 5.125
Pt -53.686 -13.508 16.736
Pt -11.736 -1.770 3.562
Pt -50.166 -12.431 15.292
CELL_PARAMETERS angstrom
-0.516 2.661 0.726
-2.329 1.329 -6.524
-54.406 -16.010 19.971
! **SG**: Amm2 (38)
! **Calculated formation energy**: -498 meV/atom
! **Total energy**: -3.547 eV per atom